<w>
Here is Li3V2P3O12 after structural relaxation from Materials Project. Energies are from PBE with a Hubbard U.

abc: 8.7401 8.7531 14.9733
angles: 54.86 90.00 90.00
Fractional coordinates of all 80 atoms:
O (0.7635, 0.4755, 0.6861)
O (0.5908, 0.5999, 0.8314)
O (0.5017, 0.0859, 0.2190)
O (0.4487, 0.3683, 0.4591)
O (0.5513, 0.6317, 0.5409)
O (0.2841, 0.1788, 0.6804)
O (0.9983, 0.0859, 0.7190)
O (0.8860, 0.2797, 0.1484)
O (0.9127, 0.6754, 0.4721)
O (0.3310, 0.7620, 0.0700)
O (0.6140, 0.2797, 0.6484)
O (0.7841, 0.8212, 0.8196)
O (0.6690, 0.2380, 0.9300)
O (0.0196, 0.4093, 0.2378)
O (0.2365, 0.5245, 0.3139)
O (0.3209, 0.9731, 0.5962)
O (0.3643, 0.9637, 0.4278)
O (0.8209, 0.0269, 0.9038)
O (0.2159, 0.1788, 0.1804)
O (0.8310, 0.2380, 0.4300)
O (0.5873, 0.6754, 0.9721)
O (0.1690, 0.7620, 0.5700)
O (0.1791, 0.9731, 0.0962)
O (0.4127, 0.3246, 0.0279)
O (0.7365, 0.4755, 0.1861)
O (0.0513, 0.3683, 0.9591)
O (0.8643, 0.0363, 0.0722)
O (0.0017, 0.9141, 0.2810)
O (0.0873, 0.3246, 0.5279)
O (0.7159, 0.8212, 0.3196)
O (0.8665, 0.8857, 0.5654)
O (0.2635, 0.5245, 0.8139)
O (0.4092, 0.4001, 0.1686)
O (0.1140, 0.7203, 0.8516)
O (0.4804, 0.4093, 0.7378)
O (0.6791, 0.0269, 0.4038)
O (0.6357, 0.0363, 0.5722)
O (0.1335, 0.1143, 0.4346)
O (0.0908, 0.4001, 0.6686)
O (0.3860, 0.7203, 0.3516)
O (0.6335, 0.8857, 0.0654)
O (0.1357, 0.9637, 0.9278)
O (0.9804, 0.5907, 0.7622)
O (0.5196, 0.5907, 0.2622)
O (0.3665, 0.1143, 0.9346)
O (0.9092, 0.5999, 0.3314)
O (0.4983, 0.9141, 0.7810)
O (0.9487, 0.6317, 0.0409)
P (0.7489, 0.0444, 0.9921)
P (0.3973, 0.5427, 0.3516)
P (0.2489, 0.9556, 0.5079)
P (0.3845, 0.2480, 0.1475)
P (0.7511, 0.0444, 0.4921)
P (0.1027, 0.5427, 0.8516)
P (0.2511, 0.9556, 0.0079)
P (0.1155, 0.2480, 0.6475)
P (0.6027, 0.4573, 0.6484)
P (0.8845, 0.7520, 0.3525)
P (0.8973, 0.4573, 0.1484)
P (0.6155, 0.7520, 0.8525)
Li (0.2218, 0.5270, 0.1768)
Li (0.8078, 0.1895, 0.7400)
Li (0.3078, 0.8105, 0.7600)
Li (0.4117, 0.1136, 0.8063)
Li (0.6922, 0.1895, 0.2400)
Li (0.5883, 0.8864, 0.1937)
Li (0.9117, 0.8864, 0.6937)
Li (0.2782, 0.5270, 0.6768)
Li (0.7782, 0.4730, 0.8232)
Li (0.7218, 0.4730, 0.3232)
Li (0.0883, 0.1136, 0.3063)
Li (0.1922, 0.8105, 0.2600)
V (0.4608, 0.3622, 0.8896)
V (0.0290, 0.1380, 0.1101)
V (0.5290, 0.8620, 0.3899)
V (0.9608, 0.6378, 0.6104)
V (0.4710, 0.1380, 0.6101)
V (0.0392, 0.3622, 0.3896)
V (0.5392, 0.6378, 0.1104)
V (0.9710, 0.8620, 0.8899)

Results
The theoretical density comes out at 2.89 g cm⁻³.



<x>
Here is Li3V2P3O12 after structural relaxation from Materials Project. Energies are from PBE with a Hubbard U.

abc: 8.6042 8.6042 6.3862
angles: 74.03 74.03 93.77
Fractional coordinates of all 40 atoms:
O (0.6589, 0.9885, 0.9108)
O (0.2621, 0.5389, 0.7325)
O (0.1552, 0.1575, 0.8904)
O (0.4553, 0.2962, 0.7974)
O (0.0115, 0.3411, 0.5892)
O (0.8448, 0.8425, 0.1096)
O (0.2556, 0.8300, 0.5334)
O (0.8425, 0.8448, 0.6096)
O (0.7379, 0.4611, 0.2675)
O (0.2962, 0.4553, 0.2974)
O (0.1575, 0.1552, 0.3904)
O (0.5447, 0.7038, 0.2026)
O (0.4611, 0.7379, 0.7675)
O (0.8300, 0.2556, 0.0334)
O (0.0514, 0.4000, 0.1714)
O (0.7444, 0.1700, 0.4666)
O (0.1700, 0.7444, 0.9666)
O (0.9885, 0.6589, 0.4108)
O (0.3411, 0.0115, 0.0892)
O (0.9486, 0.6000, 0.8286)
O (0.6000, 0.9486, 0.3286)
O (0.4000, 0.0514, 0.6714)
O (0.7038, 0.5447, 0.7026)
O (0.5389, 0.2621, 0.2325)
P (0.3390, 0.1374, 0.8625)
P (0.8626, 0.6610, 0.6375)
P (0.2845, 0.7155, 0.7500)
P (0.7155, 0.2845, 0.2500)
P (0.6610, 0.8626, 0.1375)
P (0.1374, 0.3390, 0.3625)
Li (0.5000, 0.5000, 0.5000)
Li (0.0093, 0.9907, 0.7500)
Li (0.2861, 0.7139, 0.2500)
Li (0.5000, 0.5000, 0.0000)
Li (0.9907, 0.0093, 0.2500)
Li (0.7139, 0.2861, 0.7500)
V (0.6202, 0.9427, 0.6426)
V (0.3798, 0.0573, 0.3574)
V (0.9427, 0.6202, 0.1426)
V (0.0573, 0.3798, 0.8574)

Results
The theoretical density comes out at 3.13 g cm⁻³.



<y>
Here is Li3V2P3O12 after structural relaxation from Materials Project. Energies are from PBE with a Hubbard U.

abc: 8.6503 8.6503 8.6905
angles: 61.52 61.52 60.98
Fractional coordinates of all 40 atoms:
P (0.7490, 0.9600, 0.0405)
P (0.9600, 0.7490, 0.5405)
P (0.5481, 0.4581, 0.2501)
P (0.0399, 0.2502, 0.4564)
P (0.4581, 0.5481, 0.7501)
P (0.2502, 0.0399, 0.9564)
O (0.9880, 0.2943, 0.6285)
O (0.8889, 0.1902, 0.4713)
O (0.5908, 0.9322, 0.2316)
O (0.8012, 0.1180, 0.0170)
O (0.9322, 0.5908, 0.7316)
O (0.6980, 0.9944, 0.8782)
O (0.9944, 0.6980, 0.3782)
O (0.2943, 0.9880, 0.1285)
O (0.5743, 0.2620, 0.4020)
O (0.1180, 0.8012, 0.5170)
O (0.2317, 0.0881, 0.4453)
O (0.7397, 0.4367, 0.0908)
O (0.2620, 0.5743, 0.9020)
O (0.0881, 0.2317, 0.9453)
O (0.4196, 0.0483, 0.7761)
O (0.9086, 0.7658, 0.0622)
O (0.4367, 0.7397, 0.5908)
O (0.6083, 0.5282, 0.8137)
O (0.5282, 0.6083, 0.3137)
O (0.7658, 0.9086, 0.5622)
O (0.3850, 0.5064, 0.1941)
O (0.5064, 0.3850, 0.6941)
O (0.1902, 0.8889, 0.9713)
O (0.0483, 0.4196, 0.2761)
Li (0.6214, 0.7621, 0.8024)
Li (0.0603, 0.5127, 0.9129)
Li (0.1938, 0.8938, 0.7348)
Li (0.7621, 0.6214, 0.3024)
Li (0.8938, 0.1938, 0.2348)
Li (0.5127, 0.0603, 0.4129)
V (0.8560, 0.3577, 0.8588)
V (0.1442, 0.6414, 0.1408)
V (0.6414, 0.1442, 0.6408)
V (0.3577, 0.8560, 0.3588)

Results
The theoretical density comes out at 2.86 g cm⁻³.



<z>
Here is Li3V2P3O12 after structural relaxation from Materials Project. Energies are from PBE with a Hubbard U.

abc: 9.1754 9.1754 16.5575
angles: 65.17 65.17 58.06
Fractional coordinates of all 80 atoms:
O (0.6119, 0.9692, 0.5553)
O (0.3323, 0.4827, 0.6219)
O (0.4845, 0.3284, 0.1221)
O (0.9982, 0.8103, 0.1242)
O (0.0854, 0.3999, 0.9645)
O (0.1274, 0.7928, 0.8517)
O (0.2197, 0.5483, 0.4113)
O (0.3312, 0.1921, 0.2814)
O (0.8079, 0.6688, 0.7186)
O (0.7641, 0.4782, 0.2650)
O (0.7162, 0.9487, 0.8583)
O (0.2858, 0.0510, 0.6422)
O (0.4806, 0.7637, 0.7649)
O (0.1897, 0.0018, 0.8758)
O (0.0513, 0.2838, 0.1417)
O (0.7805, 0.4504, 0.0888)
O (0.8679, 0.0533, 0.1981)
O (0.7935, 0.1251, 0.3518)
O (0.9467, 0.1321, 0.8019)
O (0.4517, 0.7803, 0.5887)
O (0.0227, 0.1057, 0.0334)
O (0.4004, 0.0851, 0.4646)
O (0.3910, 0.0310, 0.9425)
O (0.5496, 0.2195, 0.9112)
O (0.4647, 0.6882, 0.2318)
O (0.6001, 0.9146, 0.0355)
O (0.6716, 0.5155, 0.8779)
O (0.0027, 0.1871, 0.3761)
O (0.5362, 0.3103, 0.2681)
O (0.0558, 0.8663, 0.6982)
O (0.6721, 0.8035, 0.2190)
O (0.8749, 0.2065, 0.6482)
O (0.9690, 0.6090, 0.0575)
O (0.3118, 0.5353, 0.7682)
O (0.8129, 0.9973, 0.6239)
O (0.5173, 0.6677, 0.3781)
O (0.5218, 0.2359, 0.7350)
O (0.9800, 0.8913, 0.4667)
O (0.9490, 0.7142, 0.3578)
O (0.1965, 0.3279, 0.7810)
O (0.1337, 0.9442, 0.3018)
O (0.6897, 0.4638, 0.7319)
O (0.0308, 0.3881, 0.4447)
O (0.8943, 0.9773, 0.9666)
O (0.1087, 0.0200, 0.5333)
O (0.9149, 0.5996, 0.5354)
O (0.2072, 0.8726, 0.1483)
O (0.2363, 0.5194, 0.2351)
Li (0.7657, 0.4686, 0.6004)
Li (0.4686, 0.7655, 0.1005)
Li (0.4959, 0.0003, 0.7538)
Li (0.3758, 0.6242, 0.5000)
Li (0.2345, 0.5314, 0.8995)
Li (0.7560, 0.9091, 0.3039)
Li (0.0909, 0.2440, 0.6961)
Li (0.6254, 0.3746, 0.0000)
Li (0.9997, 0.5041, 0.2462)
Li (0.2442, 0.0927, 0.1986)
Li (0.5314, 0.2343, 0.3996)
Li (0.9073, 0.7558, 0.8014)
P (0.9724, 0.0365, 0.3765)
P (0.4033, 0.3389, 0.2213)
P (0.3425, 0.4017, 0.7210)
P (0.9635, 0.0276, 0.6235)
P (0.0275, 0.5612, 0.4390)
P (0.6611, 0.5967, 0.7787)
P (0.9724, 0.4374, 0.0612)
P (0.0280, 0.9615, 0.1237)
P (0.4388, 0.9725, 0.5610)
P (0.5983, 0.6575, 0.2790)
P (0.0385, 0.9720, 0.8763)
P (0.5626, 0.0276, 0.9388)
V (0.1549, 0.1955, 0.9136)
V (0.1958, 0.1538, 0.4134)
V (0.2920, 0.7889, 0.7175)
V (0.8045, 0.8451, 0.0864)
V (0.7897, 0.2899, 0.2176)
V (0.2111, 0.7080, 0.2825)
V (0.7101, 0.2103, 0.7824)
V (0.8462, 0.8042, 0.5866)

Results
The theoretical density comes out at 2.61 g cm⁻³.



Least stable of them? <z>.



<w>
Here is Li2MnP2O7 after structural relaxation from Materials Project. Energies are from PBE with a Hubbard U.

abc: 5.3782 6.2928 8.7639
angles: 71.10 87.15 83.89
Fractional coordinates of all 24 atoms:
O (0.8642, 0.5292, 0.3407)
O (0.5841, 0.2730, 0.2378)
O (0.2760, 0.0747, 0.8367)
O (0.7627, 0.2916, 0.9545)
O (0.7240, 0.9253, 0.1633)
O (0.4159, 0.7270, 0.7622)
O (0.2384, 0.1664, 0.5257)
O (0.1358, 0.4708, 0.6593)
O (0.4101, 0.7045, 0.3503)
O (0.5899, 0.2955, 0.6497)
O (0.2373, 0.7084, 0.0455)
O (0.0493, 0.1694, 0.1993)
O (0.9507, 0.8306, 0.8007)
O (0.7616, 0.8336, 0.4743)
P (0.7826, 0.1881, 0.1369)
P (0.3068, 0.2656, 0.6554)
P (0.6932, 0.7344, 0.3446)
P (0.2174, 0.8119, 0.8631)
Mn (0.7728, 0.5730, 0.7310)
Mn (0.2272, 0.4270, 0.2690)
Li (0.7539, 0.1943, 0.4629)
Li (0.2461, 0.8057, 0.5371)
Li (0.7218, 0.0627, 0.8518)
Li (0.2782, 0.9373, 0.1482)

Results
The theoretical density comes out at 2.89 g cm⁻³.



<x>
Here is Li2MnP2O7 after structural relaxation from Materials Project. Energies are from PBE with a Hubbard U.

abc: 7.2682 9.7407 9.3320
angles: 118.47 96.99 78.62
Fractional coordinates of all 48 atoms:
O (0.7716, 0.9544, 0.1439)
O (0.8197, 0.7523, 0.6642)
O (0.0191, 0.0945, 0.4276)
O (0.4846, 0.8104, 0.8359)
O (0.5577, 0.1035, 0.4382)
O (0.7750, 0.0849, 0.9648)
O (0.4421, 0.8965, 0.5618)
O (0.2284, 0.0457, 0.8562)
O (0.3197, 0.2524, 0.6643)
O (0.0154, 0.6895, 0.1640)
O (0.7285, 0.5455, 0.8560)
O (0.5155, 0.1895, 0.1641)
O (0.4809, 0.4055, 0.5723)
O (0.1601, 0.7617, 0.7300)
O (0.7251, 0.4150, 0.0351)
O (0.8399, 0.2383, 0.2699)
O (0.2750, 0.5849, 0.9648)
O (0.9847, 0.3103, 0.8358)
O (0.2717, 0.4543, 0.1438)
O (0.9808, 0.9056, 0.5724)
O (0.6602, 0.2616, 0.7299)
O (0.0577, 0.6036, 0.4382)
O (0.5191, 0.5945, 0.4276)
O (0.1803, 0.2477, 0.3358)
O (0.3398, 0.7383, 0.2700)
O (0.2250, 0.9150, 0.0352)
O (0.6803, 0.7477, 0.3358)
O (0.9422, 0.3965, 0.5618)
P (0.7799, 0.3920, 0.8707)
P (0.7202, 0.1078, 0.1292)
P (0.0030, 0.2449, 0.4069)
P (0.2202, 0.6079, 0.1292)
P (0.4970, 0.2551, 0.5931)
P (0.5029, 0.7450, 0.4069)
P (0.9970, 0.7551, 0.5931)
P (0.2798, 0.8921, 0.8708)
Li (0.6262, 0.9292, 0.7703)
Li (0.0101, 0.8214, 0.0460)
Li (0.3738, 0.0707, 0.2297)
Li (0.1262, 0.4294, 0.7702)
Li (0.5102, 0.3213, 0.0459)
Li (0.8737, 0.5708, 0.2297)
Li (0.9898, 0.1787, 0.9542)
Li (0.4899, 0.6785, 0.9540)
Mn (0.3154, 0.4353, 0.3688)
Mn (0.1844, 0.0655, 0.6317)
Mn (0.8153, 0.9351, 0.3690)
Mn (0.6846, 0.5648, 0.6310)

Results
The theoretical density comes out at 2.83 g cm⁻³.



Least stable of them? <w>.